Entry 1:
Material: MnIn2Te4
Method: DFT, PBE
State: relaxed

Structure (POSCAR):
```
MnIn2Te4
1.0
-3.157 3.157 6.280
3.157 -3.157 6.280
3.157 3.157 -6.280
Mn In Te
1 2 4
Direct
0.000 0.000 0.000
0.250 0.750 0.500
0.750 0.250 0.500
0.155 0.155 0.531
0.376 0.845 0.000
0.624 0.624 0.469
0.845 0.376 0.000
```

**Energy relative to the elements**: -0.513 eV/atom
**E_tot**: -4.16 eV per atom
**Maximum piezoelectric response**: 0.16 C/m2

Entry 2:
Material: MnIn2Te4
Method: DFT, PBE
State: relaxed

Structure (POSCAR):
```
MnIn2Te4
1.0
28.712 0.000 0.000
0.000 4.478 0.000
0.000 0.000 7.209
Mn In Te
4 8 16
Direct
0.196 0.250 0.138
0.304 0.750 0.638
0.696 0.250 0.362
0.804 0.750 0.862
0.050 0.750 0.929
0.154 0.750 0.529
0.346 0.250 0.029
0.450 0.250 0.429
0.550 0.750 0.571
0.654 0.750 0.971
0.846 0.250 0.471
0.950 0.250 0.071
0.007 0.250 0.739
0.110 0.250 0.357
0.148 0.750 0.924
0.239 0.750 0.330
0.261 0.250 0.830
0.352 0.250 0.424
0.390 0.750 0.857
0.493 0.750 0.239
0.507 0.250 0.761
0.610 0.250 0.143
0.648 0.750 0.576
0.739 0.750 0.170
0.761 0.250 0.670
0.852 0.250 0.076
0.890 0.750 0.643
0.993 0.750 0.261
```

**Energy relative to the elements**: -0.481 eV/atom
**E_tot**: -4.13 eV per atom

Entry 3:
Material: MnIn2Te4
Method: DFT, PBE
State: relaxed

Structure (POSCAR):
```
MnIn2Te4
1.0
-3.156 3.156 6.274
3.156 -3.156 6.274
3.156 3.156 -6.274
Mn In Te
1 2 4
Direct
0.000 0.000 0.000
0.250 0.750 0.500
0.500 0.500 0.000
0.085 0.134 0.485
0.400 0.915 0.048
0.648 0.600 0.515
0.866 0.352 0.952
```

**Energy relative to the elements**: -0.516 eV/atom
**E_tot**: -4.17 eV per atom
**Maximum piezoelectric response**: 0.56 C/m2

Entry 4:
Material: Ti2MnIn
Method: DFT, PBE
State: relaxed

Structure (POSCAR):
```
Ti2MnIn
1.0
0.000 3.174 3.174
3.174 0.000 3.174
3.174 3.174 0.000
Ti Mn In
2 1 1
Direct
0.000 0.000 0.000
0.250 0.250 0.250
0.750 0.750 0.750
0.500 0.500 0.500
```

**Energy relative to the elements**: -0.053 eV/atom
**E_tot**: -6.98 eV per atom

Entry 5:
Material: TmMnIn
Method: DFT, PBE
State: relaxed

Structure (POSCAR):
```
TmMnIn
1.0
4.748 0.000 0.000
-2.374 4.112 0.000
0.000 0.000 3.468
Tm Mn In
1 1 1
Direct
0.000 0.000 0.000
0.333 0.667 0.500
0.667 0.333 0.500
```

**Energy relative to the elements**: -0.083 eV/atom
**E_tot**: -5.55 eV per atom

Entry 6:
Material: MnIn2W
Method: DFT, PBE
State: relaxed

Structure (POSCAR):
```
MnIn2W
1.0
0.000 3.310 3.310
3.310 0.000 3.310
3.310 3.310 0.000
Mn In W
1 2 1
Direct
0.000 0.000 0.000
0.250 0.250 0.250
0.500 0.500 0.500
0.750 0.750 0.750
```

**Energy relative to the elements**: 0.703 eV/atom
**E_tot**: -6.20 eV per atom

Entry 7:
Material: InMo12PbS16
Method: DFT, PBE
State: relaxed

Structure (POSCAR):
```
InMo12PbS16
1.0
4.633 2.675 7.695
-4.633 2.675 7.695
0.000 -5.350 7.695
In Mo Pb S
1 12 1 16
Direct
0.000 0.000 0.000
0.040 0.376 0.185
0.124 0.314 0.462
0.185 0.040 0.376
0.314 0.462 0.124
0.376 0.185 0.040
0.462 0.124 0.314
0.538 0.876 0.686
0.624 0.815 0.960
0.686 0.538 0.876
0.815 0.960 0.624
0.876 0.686 0.538
0.960 0.624 0.815
0.500 0.500 0.500
0.003 0.614 0.258
0.115 0.759 0.502
0.121 0.121 0.121
0.241 0.498 0.885
0.258 0.003 0.614
0.378 0.378 0.378
0.386 0.742 0.997
0.498 0.885 0.241
0.502 0.115 0.759
0.614 0.258 0.003
0.622 0.622 0.622
0.742 0.997 0.386
0.759 0.502 0.115
0.879 0.879 0.879
0.885 0.241 0.498
0.997 0.386 0.742
```

**Energy relative to the elements**: -0.919 eV/atom
**E_tot**: -7.41 eV per atom

Entry 8:
Material: InMo6S8
Method: DFT, PBE
State: relaxed

Structure (POSCAR):
```
InMo6S8
1.0
4.657 2.689 3.803
-4.657 2.689 3.803
0.000 -5.377 3.803
In Mo S
1 6 8
Direct
0.000 0.000 0.000
0.224 0.415 0.560
0.415 0.560 0.224
0.440 0.776 0.585
0.560 0.224 0.415
0.585 0.440 0.776
0.776 0.585 0.440
0.128 0.736 0.380
0.240 0.240 0.240
0.264 0.620 0.872
0.380 0.128 0.736
0.620 0.872 0.264
0.736 0.380 0.128
0.760 0.760 0.760
0.872 0.264 0.620
```

**Energy relative to the elements**: -0.910 eV/atom
**E_tot**: -7.37 eV per atom

Entry 9:
Material: InMo6Se4S4
Method: DFT, PBE
State: relaxed

Structure (POSCAR):
```
InMo6Se4S4
1.0
6.708 0.000 0.000
-0.029 6.746 0.000
-0.001 -0.003 6.802
In Mo Se S
1 6 4 4
Direct
0.000 0.000 0.000
0.228 0.561 0.418
0.414 0.230 0.553
0.441 0.587 0.761
0.554 0.425 0.236
0.581 0.772 0.441
0.765 0.449 0.580
0.120 0.377 0.748
0.374 0.754 0.120
0.618 0.255 0.876
0.750 0.127 0.374
0.239 0.249 0.247
0.271 0.871 0.612
0.757 0.760 0.750
0.868 0.620 0.274
```

**Energy relative to the elements**: -0.702 eV/atom
**E_tot**: -7.12 eV per atom

Entry 10:
Material: In3Mo15Se19
Method: DFT, PBE
State: relaxed

Structure (POSCAR):
```
In3Mo15Se19
1.0
9.916 0.000 0.000
0.000 19.688 0.000
-4.917 0.000 8.693
In Mo Se
6 30 38
Direct
0.176 0.124 0.334
0.176 0.376 0.334
0.279 0.750 0.819
0.721 0.250 0.181
0.824 0.624 0.666
0.824 0.876 0.666
0.004 0.636 0.314
0.004 0.864 0.314
0.011 0.750 0.170
0.154 0.750 0.490
0.183 0.634 0.187
0.183 0.866 0.187
0.312 0.635 0.491
0.312 0.865 0.491
0.328 0.750 0.343
0.338 0.056 0.987
0.338 0.444 0.987
0.351 0.558 0.838
0.351 0.942 0.838
0.483 0.556 0.147
0.483 0.944 0.147
0.517 0.056 0.853
0.517 0.444 0.853
0.649 0.058 0.162
0.649 0.442 0.162
0.662 0.556 0.013
0.662 0.944 0.013
0.672 0.250 0.657
0.688 0.135 0.509
0.688 0.365 0.509
0.817 0.134 0.813
0.817 0.366 0.813
0.846 0.250 0.510
0.989 0.250 0.830
0.996 0.136 0.686
0.996 0.364 0.686
0.121 0.142 0.989
0.121 0.358 0.989
0.125 0.634 0.610
0.125 0.866 0.610
0.145 0.250 0.685
0.168 0.531 0.331
0.168 0.969 0.331
0.180 0.553 0.966
0.180 0.947 0.966
0.187 0.750 0.045
0.213 0.050 0.686
0.213 0.450 0.686
0.459 0.750 0.641
0.471 0.053 0.287
0.471 0.447 0.287
0.488 0.642 0.365
0.488 0.858 0.365
0.494 0.160 0.990
0.494 0.340 0.990
0.506 0.660 0.010
0.506 0.840 0.010
0.512 0.142 0.635
0.512 0.358 0.635
0.529 0.553 0.713
0.529 0.947 0.713
0.541 0.250 0.359
0.787 0.550 0.314
0.787 0.950 0.314
0.813 0.250 0.955
0.820 0.053 0.034
0.820 0.447 0.034
0.832 0.031 0.669
0.832 0.469 0.669
0.855 0.750 0.315
0.875 0.134 0.390
0.875 0.366 0.390
0.879 0.642 0.011
0.879 0.858 0.011
```

**Energy relative to the elements**: -0.737 eV/atom
**E_tot**: -6.91 eV per atom

Entry 11:
Material: InTe3Mo3
Method: DFT, PBE
State: relaxed

Structure (POSCAR):
```
InTe3Mo3
1.0
9.603 0.000 0.000
-4.802 8.317 0.000
0.000 0.000 4.622
In Te Mo
2 6 6
Direct
0.333 0.667 0.250
0.667 0.333 0.750
0.062 0.371 0.750
0.309 0.938 0.750
0.371 0.309 0.250
0.629 0.691 0.750
0.691 0.062 0.250
0.938 0.629 0.250
0.030 0.175 0.250
0.144 0.970 0.250
0.175 0.144 0.750
0.825 0.856 0.250
0.856 0.030 0.750
0.970 0.825 0.750
```

**Energy relative to the elements**: -0.234 eV/atom
**E_tot**: -6.62 eV per atom

Entry 12:
Material: Nb3InN6
Method: DFT, PBE
State: relaxed

Structure (POSCAR):
```
Nb3InN6
1.0
5.147 0.000 0.000
0.000 5.526 0.000
-5.140 0.000 8.624
Nb In N
6 2 12
Direct
0.000 0.000 0.000
0.000 0.500 0.500
0.292 0.041 0.757
0.292 0.459 0.257
0.708 0.541 0.743
0.708 0.959 0.243
0.500 0.000 0.500
0.500 0.500 0.000
0.037 0.092 0.223
0.037 0.408 0.723
0.284 0.701 0.106
0.284 0.799 0.606
0.392 0.188 0.085
0.392 0.312 0.585
0.608 0.688 0.415
0.608 0.812 0.915
0.716 0.201 0.394
0.716 0.299 0.894
0.963 0.592 0.277
0.963 0.908 0.777
```

**Energy relative to the elements**: -0.591 eV/atom
**E_tot**: -8.68 eV per atom